Entry 1:
VASP calculation (GGA-PBE) on a relaxed Na5Ga3GeP6O24 crystal.

Properties
- Total energy after the MP2020 corrections: -6.9292 eV per atom
- Formation energy from the elements: -2530 meV/atom

a b c (Å): 8.6553 8.6559 21.7502
angles (deg): 89.95 89.97 120.02
Closest atoms and distances in Å follow each position.
Element x y z (fractional)
O 0.7790 0.9552 0.6919  1 P 1.56
O 0.7049 0.1717 0.0269  1 P 1.56
O 0.8290 0.0371 0.8062  1 P 1.53
O 0.7048 0.5336 0.5275  1 P 1.56
O 0.6392 0.4926 0.9227  1 P 1.57
O 0.3111 0.4830 0.7584  1 P 1.60
O 0.1713 0.2174 0.6943  1 P 1.55
O 0.3022 0.4582 0.4734  1 P 1.53
O 0.8500 0.4918 0.4246  1 P 1.57
O 0.5429 0.6955 0.9760  1 P 1.54
O 0.5439 0.8486 0.4758  1 P 1.54
O 0.8291 0.5350 0.0266  1 P 1.56
O 0.8089 0.8312 0.9101  1 P 1.53
O 0.3737 0.8766 0.8593  1 P 1.57
O 0.1890 0.0236 0.5879  1 P 1.54
O 0.1886 0.1655 0.0873  1 P 1.54
O 0.4787 0.1676 0.2438  1 P 1.56
O 0.1691 0.1879 0.4111  1 P 1.53
O 0.4920 0.3711 0.1411  1 P 1.55
O 0.9689 0.8067 0.0876  1 P 1.54
O 0.6334 0.5119 0.6429  1 P 1.54
O 0.0213 0.1910 0.9105  1 P 1.52
O 0.5074 0.1464 0.9230  1 P 1.57
O 0.1521 0.6961 0.4758  1 P 1.54
O 0.4642 0.1662 0.5250  1 P 1.55
O 0.0387 0.8207 0.6908  1 P 1.55
O 0.5213 0.6892 0.2557  1 P 1.55
O 0.8121 0.9808 0.4115  1 P 1.53
O 0.4815 0.3194 0.7447  1 P 1.54
O 0.9686 0.1617 0.5887  1 P 1.55
O 0.2088 0.0407 0.3061  1 P 1.52
O 0.8324 0.3118 0.2439  1 P 1.56
O 0.3721 0.4847 0.3572  1 P 1.56
O 0.8295 0.2939 0.5273  1 P 1.56
O 0.0187 0.8306 0.4116  1 P 1.53
O 0.6426 0.1500 0.4240  1 P 1.57
O 0.3576 0.4987 0.0766  1 P 1.56
O 0.1535 0.4569 0.9759  1 P 1.54
O 0.7850 0.8245 0.1902  1 P 1.56
O 0.9602 0.1666 0.3048  1 P 1.52
O 0.6890 0.1670 0.7441  1 P 1.54
O 0.4967 0.1227 0.6393  1 P 1.54
O 0.9629 0.7937 0.8059  1 P 1.52
O 0.4669 0.2992 0.0257  1 P 1.54
O 0.8392 0.5219 0.7449  1 P 1.56
O 0.6323 0.1204 0.1423  1 P 1.54
O 0.5048 0.6295 0.8587  1 P 1.58
O 0.1143 0.6282 0.3586  1 P 1.56
O 0.0388 0.2152 0.1902  1 P 1.56
O 0.8803 0.3722 0.6420  1 P 1.56
O 0.1676 0.4790 0.2558  1 P 1.55
O 0.1410 0.6373 0.0762  1 P 1.54
O 0.8807 0.5086 0.1414  1 P 1.56
O 0.1720 0.9576 0.1926  1 P 1.55
O 0.1692 0.9779 0.9100  1 P 1.52
O 0.5141 0.8852 0.3585  1 P 1.56
O 0.1243 0.4952 0.8587  1 P 1.58
O 0.8534 0.3614 0.9232  1 P 1.57
O 0.3011 0.8443 0.9746  1 P 1.53
O 0.8334 0.8076 0.5877  1 P 1.56
O 0.8333 0.7936 0.3048  1 P 1.52
O 0.5183 0.8241 0.7587  1 P 1.58
O 0.3565 0.8583 0.5763  1 P 1.56
O 0.1727 0.6871 0.7583  1 P 1.58
O 0.1411 0.5033 0.5764  1 P 1.54
O 0.8331 0.0261 0.0870  1 P 1.56
O 0.3120 0.8325 0.2566  1 P 1.56
O 0.5081 0.3590 0.4240  1 P 1.57
O 0.6888 0.5212 0.2436  1 P 1.56
O 0.4998 0.8542 0.0767  1 P 1.54
O 0.2082 0.1754 0.8085  1 P 1.51
O 0.4999 0.6455 0.5769  1 P 1.54
P 0.0002 0.2903 0.2498  4 O 1.52-1.56
P 0.3340 0.9590 0.9174  4 O 1.52-1.57
P 0.0407 0.3751 0.9178  4 O 1.52-1.58
P 0.6623 0.0432 0.0825  4 O 1.54-1.56
P 0.6276 0.9626 0.4179  4 O 1.53-1.57
P 0.7058 0.9987 0.7510  4 O 1.53-1.58
P 0.0055 0.7127 0.7509  4 O 1.52-1.58
P 0.9574 0.6237 0.0822  4 O 1.54-1.56
P 0.2898 0.9994 0.2506  4 O 1.52-1.56
P 0.0373 0.6646 0.4181  4 O 1.53-1.57
P 0.9572 0.3338 0.5830  4 O 1.54-1.56
P 0.3775 0.0474 0.5821  4 O 1.54-1.56
P 0.6250 0.6659 0.9176  4 O 1.53-1.58
P 0.3350 0.3728 0.4173  4 O 1.53-1.57
P 0.2912 0.2895 0.7519  4 O 1.51-1.60
P 0.3771 0.3297 0.0821  4 O 1.54-1.56
P 0.7100 0.7103 0.2498  4 O 1.52-1.56
P 0.6624 0.6190 0.5832  4 O 1.54-1.56
Ge 0.6649 0.3321 0.9778  6 O 1.90-1.93
Ge 0.3342 0.6730 0.8180  6 O 1.85-2.03
Ge 0.6643 0.3324 0.4789  6 O 1.89-1.93
Na 0.9986 0.3621 0.7498  6 O 2.35-2.62
Na 0.6392 0.6346 0.7495  6 O 2.35-2.63
Na 0.0005 0.6352 0.2525  6 O 2.36-2.64
Na 0.3333 0.6662 0.6649  6 O 2.46-2.53
Na 0.6663 0.3333 0.3378  6 O 2.40-2.56
Na 0.0335 0.7016 0.5820  6 O 2.33-2.57
Na 0.6343 0.9998 0.2525  6 O 2.36-2.62
Na 0.6647 0.9654 0.5818  5 O 2.31-2.53
Na 0.3652 0.3655 0.2529  5 O 2.36-2.48
Na 0.0078 0.9990 0.9959  6 O 2.39-2.57
Na 0.0079 0.0087 0.4966  6 O 2.37-2.57
Na 0.0336 0.3318 0.0821  6 O 2.33-2.57
Na 0.3324 0.6742 0.1656  6 O 2.45-2.54
Na 0.6652 0.7002 0.0819  6 O 2.31-2.58
Na 0.6586 0.3245 0.8343  6 O 2.41-2.54
Ga 0.0061 0.9991 0.1483  6 O 1.91-2.10
Ga 0.3326 0.6724 0.0154  5 O 1.87-2.02
Ga 0.0019 0.0008 0.8541  6 O 1.94-1.99
Ga 0.0079 0.0069 0.6487  6 O 1.93-2.10
Ga 0.6599 0.3273 0.6838  6 O 1.89-2.10
Ga 0.0006 0.0001 0.3562  6 O 1.96-1.99
Ga 0.3326 0.6606 0.5151  6 O 1.87-2.10
Ga 0.3334 0.6664 0.3222  6 O 1.92-2.11
Ga 0.6656 0.3318 0.1829  6 O 1.92-2.04

***

Entry 2:
VASP calculation (GGA-PBE) on a relaxed NaGaGeP2SO12 crystal.

Properties
- Total energy after the MP2020 corrections: -6.9370 eV per atom
- Formation energy from the elements: -2309 meV/atom

a b c (Å): 8.4138 8.4405 21.9832
angles (deg): 89.43 90.00 119.90
Closest atoms and distances in Å follow each position.
Element x y z (fractional)
Ge 0.9988 0.0005 0.3523  6 O 1.87-2.01
Ge 0.3321 0.6671 0.0190  6 O 1.87-2.01
Ge 0.6655 0.3338 0.6857  6 O 1.87-2.01
Ge 0.0017 0.0005 0.8523  6 O 1.87-2.01
Ge 0.6684 0.3338 0.1857  6 O 1.87-2.01
Ge 0.3350 0.6671 0.5190  6 O 1.87-2.01
O 0.4833 0.1791 0.2424  1 P 1.57
O 0.4827 0.3072 0.7428  1 P 1.57
O 0.8161 0.9739 0.4095  1 P 1.57
O 0.6958 0.1791 0.7424  1 P 1.57
O 0.2081 0.0402 0.3079  1 P 1.56
O 0.2916 0.8333 0.9746  1 P 1.57
O 0.1939 0.0219 0.5903  1 S 1.47
O 0.1578 0.9739 0.9095  1 P 1.57
O 0.5272 0.6886 0.2569  1 S 1.47
O 0.6387 0.1428 0.4238  1 P 1.53
O 0.8416 0.5376 0.0259  1 P 1.52
O 0.6275 0.1191 0.1389  1 S 1.51
O 0.1749 0.2043 0.6925  1 P 1.52
O 0.2942 0.4525 0.4722  1 S 1.51
O 0.8309 0.5261 0.7444  1 S 1.50
O 0.8374 0.8094 0.5905  1 P 1.53
O 0.1655 0.7069 0.4746  1 P 1.56
O 0.8250 0.7858 0.3055  1 S 1.51
O 0.5041 0.1428 0.9238  1 P 1.53
O 0.1500 0.5124 0.5757  1 P 1.57
O 0.8280 0.0219 0.0903  1 S 1.47
O 0.8538 0.5030 0.4226  1 P 1.52
O 0.9608 0.7858 0.8055  1 S 1.51
O 0.0333 0.8223 0.6943  1 S 1.46
O 0.8750 0.5000 0.1412  1 P 1.57
O 0.6493 0.5030 0.9226  1 P 1.52
O 0.8404 0.2966 0.5268  1 P 1.52
O 0.4556 0.1556 0.5277  1 S 1.46
O 0.1708 0.4761 0.2572  1 P 1.53
O 0.0291 0.8457 0.4090  1 P 1.57
O 0.1223 0.4890 0.8610  1 S 1.46
O 0.1583 0.4525 0.9722  1 S 1.51
O 0.5083 0.8709 0.3592  1 P 1.52
O 0.5417 0.8333 0.4746  1 P 1.57
O 0.8606 0.3552 0.9236  1 S 1.47
O 0.3667 0.4890 0.3610  1 S 1.46
O 0.5204 0.8364 0.7560  1 P 1.52
O 0.6960 0.5376 0.5259  1 P 1.52
O 0.4916 0.1191 0.6389  1 S 1.51
O 0.7890 0.8223 0.1943  1 S 1.46
O 0.8245 0.3072 0.2428  1 P 1.57
O 0.5414 0.7069 0.9746  1 P 1.56
O 0.7895 0.9632 0.6935  1 P 1.52
O 0.2084 0.1667 0.8079  1 P 1.57
O 0.6250 0.5000 0.6412  1 P 1.57
O 0.4912 0.6406 0.5762  1 P 1.57
O 0.1494 0.6406 0.0762  1 P 1.57
O 0.3160 0.8364 0.2560  1 P 1.52
O 0.0286 0.1928 0.9111  1 S 1.50
O 0.4562 0.2966 0.0268  1 P 1.52
O 0.0293 0.2043 0.1925  1 P 1.52
O 0.3627 0.8709 0.8592  1 P 1.52
O 0.1737 0.9632 0.1935  1 P 1.52
O 0.1642 0.1928 0.4111  1 S 1.50
O 0.4975 0.8595 0.0777  1 S 1.50
O 0.9826 0.1697 0.5893  1 P 1.52
O 0.1228 0.6299 0.3601  1 P 1.52
O 0.7000 0.1556 0.0277  1 S 1.46
O 0.8747 0.3736 0.6412  1 P 1.56
O 0.9720 0.8094 0.0905  1 P 1.53
O 0.3053 0.4761 0.7572  1 P 1.53
O 0.4988 0.3736 0.1412  1 P 1.56
O 0.6953 0.5261 0.2444  1 S 1.50
O 0.1613 0.6886 0.7569  1 S 1.47
O 0.8322 0.0402 0.8079  1 P 1.56
O 0.3624 0.5124 0.0757  1 P 1.57
O 0.5071 0.6299 0.8601  1 P 1.52
O 0.3619 0.8595 0.5777  1 S 1.50
O 0.1871 0.1697 0.0893  1 P 1.52
O 0.4947 0.3552 0.4236  1 S 1.47
O 0.8166 0.8457 0.9090  1 P 1.57
O 0.9583 0.1667 0.3079  1 P 1.57
S 0.3769 0.0439 0.5826  4 O 1.46-1.51
S 0.6670 0.0439 0.0826  4 O 1.46-1.51
S 0.3337 0.3773 0.4159  4 O 1.46-1.51
S 0.7103 0.7106 0.2492  4 O 1.46-1.51
S 0.0436 0.3773 0.9159  4 O 1.46-1.51
S 0.0003 0.7106 0.7492  4 O 1.46-1.51
Na 0.6700 0.3293 0.3345  6 O 2.44-2.53
Na 0.6593 0.3293 0.8345  6 O 2.44-2.53
Na 0.3259 0.6626 0.1678  6 O 2.44-2.53
Na 0.9926 0.9960 0.5011  6 O 2.44-2.53
Na 0.0034 0.9960 0.0011  6 O 2.44-2.53
Na 0.3367 0.6626 0.6678  6 O 2.44-2.53
P 0.0450 0.6695 0.4165  4 O 1.52-1.57
P 0.9548 0.6219 0.0824  4 O 1.52-1.57
P 0.6244 0.6695 0.9165  4 O 1.52-1.57
P 0.2881 0.2886 0.7491  4 O 1.52-1.57
P 0.6214 0.9552 0.4157  4 O 1.52-1.57
P 0.7117 0.0028 0.7498  4 O 1.52-1.57
P 0.9578 0.3361 0.5831  4 O 1.52-1.57
P 0.2911 0.0028 0.2498  4 O 1.52-1.57
P 0.3338 0.9552 0.9157  4 O 1.52-1.57
P 0.6672 0.6219 0.5824  4 O 1.52-1.57
P 0.0005 0.2886 0.2491  4 O 1.52-1.57
P 0.3784 0.3361 0.0831  4 O 1.52-1.57
Ga 0.9917 0.0056 0.6471  6 O 1.86-2.06
Ga 0.3250 0.6723 0.3137  6 O 1.86-2.06
Ga 0.6583 0.3390 0.9804  6 O 1.86-2.06
Ga 0.0140 0.0056 0.1471  6 O 1.86-2.06
Ga 0.6806 0.3390 0.4804  6 O 1.86-2.06
Ga 0.3473 0.6723 0.8137  6 O 1.86-2.06